Entry 1:
Crystalline Ba9In4H at its relaxed geometry, computed with PBE.

a b c (Å): 10.420 10.420 10.420
angles (deg): 94.71 94.71 146.69
Fractional coordinates of all 14 atoms:
Ba 0.500 0.500 0.000
Ba 0.109 0.183 0.292
Ba 0.891 0.817 0.708
Ba 0.183 0.891 0.075
Ba 0.817 0.109 0.925
Ba 0.387 0.126 0.512
Ba 0.613 0.874 0.488
Ba 0.126 0.613 0.739
Ba 0.874 0.387 0.261
In 0.400 0.739 0.139
In 0.600 0.261 0.861
In 0.739 0.600 0.338
In 0.261 0.400 0.662
H 0.000 0.000 0.000

Summary:
The crystal system is tetragonal.

Entry 2:
Crystalline MnAs at its relaxed geometry, computed with PBE.

a b c (Å): 3.657 3.657 5.502
angles (deg): 90.00 90.00 120.00
Fractional coordinates of all 4 atoms:
Mn 0.000 0.000 0.500
Mn 0.000 0.000 0.000
As 0.667 0.333 0.750
As 0.333 0.667 0.250

Summary:
The crystal system is hexagonal.

Entry 3:
Crystalline Na4NbAl3Si3S3O24 at its relaxed geometry, computed with PBE.

a b c (Å): 8.709 8.712 22.062
angles (deg): 89.65 90.39 119.82
Fractional coordinates of all 114 atoms:
Na 0.638 0.000 0.252
Na 0.362 0.363 0.251
Na 0.000 0.637 0.252
Na 0.304 0.336 0.586
Na 0.669 0.971 0.586
Na 0.296 0.964 0.085
Na 0.001 0.988 0.501
Na 0.989 0.001 0.993
Na 0.667 0.334 0.826
Na 0.668 0.334 0.330
Na 0.334 0.655 0.169
Na 0.320 0.668 0.661
Nb 0.669 0.334 0.972
Nb 0.667 0.334 0.484
Nb 0.333 0.667 0.814
Al 0.000 0.999 0.341
Al 0.000 0.999 0.859
Al 0.001 0.996 0.641
Al 0.995 0.002 0.161
Al 0.666 0.332 0.677
Al 0.668 0.336 0.193
Al 0.335 0.662 0.010
Al 0.329 0.667 0.525
Al 0.333 0.667 0.308
Si 0.288 0.001 0.249
Si 0.712 0.712 0.251
Si 0.000 0.288 0.251
Si 0.963 0.340 0.589
Si 0.371 0.035 0.588
Si 0.668 0.627 0.587
Si 0.628 0.684 0.919
Si 0.056 0.372 0.919
Si 0.318 0.944 0.920
S 0.286 0.278 0.749
S 0.991 0.716 0.749
S 0.722 0.008 0.749
S 0.957 0.624 0.086
S 0.671 0.041 0.086
S 0.374 0.337 0.085
S 0.621 0.946 0.415
S 0.325 0.379 0.415
S 0.056 0.674 0.415
O 0.205 0.052 0.306
O 0.845 0.791 0.309
O 0.946 0.155 0.309
O 0.198 0.175 0.803
O 0.978 0.801 0.804
O 0.825 0.021 0.803
O 0.802 0.984 0.693
O 0.181 0.198 0.693
O 0.016 0.825 0.694
O 0.791 0.843 0.192
O 0.054 0.210 0.192
O 0.163 0.952 0.188
O 0.871 0.377 0.645
O 0.510 0.125 0.643
O 0.613 0.487 0.642
O 0.868 0.516 0.141
O 0.643 0.129 0.140
O 0.482 0.357 0.141
O 0.464 0.311 0.032
O 0.849 0.535 0.031
O 0.690 0.150 0.031
O 0.464 0.173 0.527
O 0.707 0.536 0.526
O 0.827 0.291 0.527
O 0.538 0.708 0.978
O 0.169 0.464 0.978
O 0.297 0.836 0.982
O 0.534 0.846 0.471
O 0.313 0.466 0.471
O 0.160 0.687 0.470
O 0.137 0.651 0.360
O 0.513 0.862 0.361
O 0.348 0.487 0.361
O 0.134 0.502 0.858
O 0.368 0.863 0.860
O 0.497 0.631 0.858
O 0.036 0.834 0.412
O 0.799 0.965 0.412
O 0.167 0.200 0.412
O 0.025 0.181 0.905
O 0.157 0.974 0.906
O 0.818 0.843 0.905
O 0.979 0.162 0.595
O 0.185 0.030 0.593
O 0.835 0.822 0.594
O 0.974 0.803 0.088
O 0.833 0.027 0.090
O 0.199 0.173 0.088
O 0.700 0.167 0.746
O 0.466 0.299 0.746
O 0.833 0.537 0.745
O 0.687 0.515 0.240
O 0.828 0.313 0.239
O 0.485 0.172 0.239
O 0.640 0.499 0.926
O 0.859 0.359 0.925
O 0.501 0.141 0.926
O 0.637 0.128 0.418
O 0.491 0.362 0.418
O 0.874 0.510 0.419
O 0.359 0.499 0.080
O 0.137 0.643 0.083
O 0.506 0.865 0.082
O 0.363 0.852 0.572
O 0.495 0.644 0.571
O 0.156 0.503 0.573
O 0.312 0.828 0.260
O 0.514 0.686 0.261
O 0.171 0.485 0.261
O 0.304 0.461 0.751
O 0.157 0.697 0.751
O 0.538 0.844 0.751

Summary:
The crystal system is triclinic.

| no. | E (eV/atom) | energy of formation (kJ/mol of atoms) |
| --- | --- | --- |
| 1 | -2.58 | -32 |
| 2 | -7.15 | -23 |
| 3 | -6.80 | -256 |